The following is a GGA-PBE calculation of an optimized crystal structure of Fe4Se3N2, from the Materials Project database.

Results
ΔH_f (0 K) (eV per atom): -0.09
Total moment (μB per atom): 0.2275
Energy with MP2020 corrections (eV/atom): -6.875
Density (g/cm3): 6.6

Structure (extended XYZ):
```
36
Lattice="5.809 0.000 0.000 0.000 10.242 0.000 0.000 0.000 8.262" Properties=species:S:1:pos:R:3 pbc="T T T"
Fe 5.563 7.682 2.959
Se 3.231 9.670 2.690
N 0.472 8.977 4.174
Fe 1.822 9.850 7.762
Fe 1.822 5.513 7.762
Se 0.326 5.694 1.441
N 3.376 8.977 8.220
N 2.433 1.265 0.043
Se 3.231 5.694 2.690
Fe 0.246 2.561 5.304
Se 4.911 2.561 1.297
Fe 4.410 7.682 7.656
Fe 4.303 2.561 3.524
N 5.337 3.856 4.088
N 3.376 6.386 8.220
Fe 2.659 7.682 1.172
Fe 3.986 0.392 0.501
Se 3.802 7.682 5.428
Fe 1.506 7.682 4.738
Se 5.482 0.573 6.821
Fe 1.082 4.729 3.630
Fe 1.082 0.392 3.630
Se 0.326 9.670 1.441
Fe 3.150 2.561 7.090
Se 2.578 0.573 5.573
Se 2.578 4.548 5.573
Fe 4.727 5.513 4.632
Fe 4.727 9.850 4.632
N 0.472 6.386 4.174
N 5.337 1.265 4.088
N 2.433 3.856 0.043
Fe 3.986 4.729 0.501
Se 5.482 4.548 6.821
Se 2.007 2.561 2.834
Se 0.897 7.682 6.966
Fe 1.399 2.561 0.607
```


The following is a GGA-PBE calculation of an optimized crystal structure of Sc3P, from the Materials Project database.

Results
ΔH_f (0 K) (eV per atom): -0.81
Density (g/cm3): 3.3

Structure (extended XYZ):
```
16
Lattice="-3.661 4.451 -0.194 -4.670 -3.698 3.275 2.973 2.766 7.364" Properties=species:S:1:pos:R:3 pbc="T T T"
Sc -0.492 0.948 7.045
Sc -0.031 1.226 3.868
Sc -4.141 3.396 9.514
Sc -5.327 2.293 6.577
Sc -1.037 4.310 7.917
Sc -1.726 3.441 1.805
Sc -3.633 0.078 8.640
Sc -3.135 0.312 5.465
P -2.782 2.314 7.456
P -3.612 -2.224 4.695
P -2.576 1.204 2.988
Sc -2.223 3.207 4.980
P -1.746 5.743 5.750
Sc -1.217 0.123 0.931
Sc -4.321 -0.791 2.528
Sc -4.866 2.571 3.400
```


The following is a GGA-PBE calculation of an optimized crystal structure of K2SnN6, from the Materials Project database.

Results
ΔH_f (0 K) (eV per atom): 1.92
Total moment (μB per atom): 1.3333
Energy with MP2020 corrections (eV/atom): -4.328
Density (g/cm3): 2.5

Structure (extended XYZ):
```
9
Lattice="5.427 3.239 0.000 3.494 0.000 5.266 5.427 -3.239 0.000" Properties=species:S:1:pos:R:3 pbc="T T T"
N 8.049 -1.708 4.005
N 9.069 0.000 1.228
N 5.278 0.000 4.038
N 6.298 1.708 1.261
K 10.713 0.000 3.932
N 8.049 1.708 4.005
K 3.634 0.000 1.334
Sn 0.000 0.000 0.000
N 6.298 -1.708 1.261
```


The following is a GGA-PBE calculation of an optimized crystal structure of Na2Ga8SiS11O48, from the Materials Project database.

Results
ΔH_f (0 K) (eV per atom): -2.01
Total moment (μB per atom): 0.0000
Energy with MP2020 corrections (eV/atom): -6.512
Density (g/cm3): 3.2

Structure (extended XYZ):
```
210
Lattice="16.948 -0.006 0.005 -4.240 7.335 0.002 0.007 0.009 22.092" Properties=species:S:1:pos:R:3 pbc="T T T"
S 5.476 4.591 1.863
O 3.657 5.779 6.738
S 11.464 5.187 5.507
O 1.637 5.159 21.481
O 5.875 2.716 14.087
O 9.078 6.299 1.654
O 3.316 6.058 20.109
Ga 12.762 2.523 15.200
O 1.597 4.670 19.041
S 10.961 4.917 20.276
S 7.241 2.139 5.529
O 9.505 6.153 10.408
O 7.929 3.332 21.619
O 6.955 0.169 2.007
O 0.640 6.483 7.971
O 5.157 3.675 9.346
O 0.940 1.244 2.003
Ga 16.940 0.007 3.211
S 3.010 0.315 12.893
O 12.089 3.833 5.365
O 11.134 7.170 9.060
O 4.819 5.935 2.016
O 5.629 2.627 20.366
O 16.068 1.187 13.065
O 5.168 1.233 16.402
O 2.572 2.722 3.054
S 11.492 0.347 12.889
O 6.831 5.130 10.404
O 6.922 5.132 16.686
O 14.244 2.239 5.394
O 13.243 3.722 16.463
Ga 12.736 7.288 14.426
O 7.540 6.128 5.709
O 1.532 5.074 5.723
O 3.604 1.029 20.430
O 2.593 7.122 15.325
Ga 8.469 4.811 0.367
O -1.536 4.712 1.673
O 14.246 2.613 20.421
O 3.179 3.745 14.082
O 11.001 7.083 15.370
O 9.400 1.220 2.003
O 4.869 0.862 3.087
O 13.759 1.161 0.653
O 0.620 6.289 1.697
O 9.402 6.080 16.791
O 12.047 5.946 12.987
Ga -0.099 4.916 11.503
S 6.711 2.443 12.895
S 1.254 2.159 16.579
Ga 12.789 2.522 10.649
Si 13.942 5.198 16.572
S 9.679 2.750 9.207
O 3.620 0.932 14.090
O -3.410 6.218 9.089
O 1.669 0.312 6.693
Na 4.308 2.451 18.451
O 5.175 6.089 9.031
O 6.833 0.296 17.752
O 13.323 5.908 2.030
O 9.051 3.346 10.398
O -0.609 1.400 20.081
O 3.224 3.654 20.397
Na 8.460 0.075 22.008
O 13.535 3.545 9.330
O 10.113 0.267 6.742
O -1.591 5.201 10.533
Ga 8.440 0.105 18.850
S -1.249 7.019 20.271
O 7.859 1.555 4.316
S 2.482 0.011 5.489
Na 12.777 2.512 7.439
O -1.626 4.574 7.856
O 1.127 3.597 7.976
Ga 12.748 2.432 4.057
O 3.656 4.021 11.672
S 5.467 5.231 16.576
O 7.420 1.292 6.733
O 13.778 3.743 3.065
S 11.452 4.591 12.885
O 11.665 6.007 4.298
S 2.419 4.888 20.235
O 13.296 4.001 0.656
O 13.568 1.144 16.436
O 2.718 7.180 9.036
S 13.937 0.282 1.833
O 1.088 6.222 10.412
Ga 8.446 4.823 17.984
O 15.264 0.295 17.802
O 9.439 3.661 1.755
O 7.421 3.678 18.924
O 11.637 3.753 14.072
O 0.598 1.465 9.053
O 3.205 1.151 11.658
O -0.555 6.356 12.781
O -2.585 7.111 4.291
O 11.170 2.198 16.393
O -0.633 1.509 4.302
O 5.761 2.267 5.379
O 11.134 2.585 9.347
Ga -4.167 7.273 7.823
S 1.773 2.449 1.815
O 10.167 4.638 19.064
Ga 8.489 4.882 6.935
Ga 4.260 7.336 14.285
O 3.624 5.919 13.058
S 10.249 2.452 1.864
S 6.023 0.005 16.543
O -0.562 6.454 19.097
Si 7.256 2.768 20.251
O -1.039 6.198 21.503
O 9.072 6.423 7.978
O 9.114 3.460 16.685
O -1.414 5.069 16.719
O -3.178 6.095 15.217
O 14.379 2.656 14.088
O 5.893 7.086 4.328
Ga 4.235 2.443 10.699
Na 4.220 2.429 7.384
O 1.077 1.326 17.790
O 4.819 5.808 17.785
O 4.833 3.876 16.434
Si -2.468 4.883 9.215
O 1.534 0.231 12.974
O 0.689 3.353 10.430
Na -4.184 7.283 11.039
O 5.234 6.030 15.348
Ga 4.208 2.443 4.038
S 2.986 4.599 12.882
O 11.072 2.650 3.088
S 9.705 2.126 16.544
O -0.889 6.174 5.637
Ga 8.471 4.904 11.553
S 1.259 2.782 9.212
O -0.876 3.602 12.759
O -0.566 3.430 5.633
O 6.920 4.754 1.734
O 11.807 3.676 20.423
O 15.401 0.180 2.018
S -1.210 2.114 5.523
O 0.928 3.649 1.655
O 0.706 3.494 16.750
O 7.857 6.337 12.714
S 2.983 5.200 5.543
O 7.925 1.280 20.144
Ga 4.317 2.456 21.603
O 11.782 6.125 20.168
O 4.798 4.019 0.683
O -1.036 3.592 19.084
Ga -0.092 4.869 6.977
Ga 12.733 7.241 18.805
O 9.508 3.587 7.977
S 6.705 7.331 5.543
O 5.289 1.136 0.669
O 7.910 6.505 19.050
O -0.616 3.301 21.497
Ga 4.239 7.327 3.281
O 13.245 0.973 9.354
O 11.067 2.163 0.661
O 10.001 5.054 5.673
S 13.952 4.586 1.845
S 7.269 7.036 20.258
O 11.795 1.211 5.393
O 9.035 1.430 9.025
S 6.016 4.889 9.207
O 13.222 5.774 17.911
O -2.699 7.163 20.139
O 9.058 1.544 15.341
O 4.870 1.061 9.344
O 10.026 0.195 13.045
O 12.109 1.070 20.405
Ga -0.018 4.872 0.402
Ga 4.221 2.457 15.142
O 13.303 0.861 3.061
O 7.550 1.246 13.059
O 7.860 3.465 5.695
O 3.187 6.024 4.327
O 2.753 2.251 16.430
O 0.632 1.618 15.348
O 11.686 1.177 11.664
O 7.468 6.261 21.505
O 9.983 4.699 12.720
Na 12.746 2.528 18.341
Ga -0.092 4.909 17.881
O 12.125 0.927 14.087
O 5.900 2.179 11.670
Ga 4.223 7.334 7.843
O 5.797 7.126 20.118
S 5.467 0.284 1.852
O 3.629 3.858 5.388
S 9.677 7.004 9.212
O 2.749 2.612 9.341
O 0.981 6.146 16.720
O 12.092 5.761 6.716
O 14.414 2.121 11.688
S -1.211 2.727 20.254
S 10.211 7.302 16.606
O 5.272 3.764 3.092
O 12.074 4.015 11.662
O 9.542 1.279 17.756
O 1.539 4.711 12.681
O 15.916 1.262 6.738
S 1.251 7.033 9.211
O 6.821 4.619 7.982
O 2.630 2.187 0.645
S 15.221 2.410 12.915
O 7.538 3.652 12.717
Ga 12.724 2.458 21.672
O 10.165 5.144 21.507
O 3.330 1.249 5.355
```


The following is a GGA-PBE calculation of an optimized crystal structure of Ag2BiSbTe2Se2, from the Materials Project database.

Results
ΔH_f (0 K) (eV per atom): -0.22
Total moment (μB per atom): 0.0004
Energy with MP2020 corrections (eV/atom): -3.595
Density (g/cm3): 7.3

Structure (extended XYZ):
```
8
Lattice="-3.358 -5.934 -2.728 -5.004 -2.349 4.834 1.251 6.628 -2.902" Properties=species:S:1:pos:R:3 pbc="T T T"
Te -2.062 -2.043 0.519
Sb -4.283 -4.243 1.079
Se -6.217 -6.158 1.566
Ag -8.333 -8.255 2.099
Se -1.884 2.132 0.968
Bi -3.241 -1.821 -2.264
Te -5.997 -1.942 2.004
Ag -3.928 0.107 1.483
```


The following is a GGA-PBE calculation of an optimized crystal structure of UI3, from the Materials Project database.

Results
ΔH_f (0 K) (eV per atom): -1.14
Energy with MP2020 corrections (eV/atom): -5.108
Density (g/cm3): 6.3

Structure (extended XYZ):
```
8
Lattice="2.108 -7.742 0.000 2.108 7.742 0.000 0.000 0.000 10.020" Properties=species:S:1:pos:R:3 pbc="T T T"
I 2.108 -2.395 0.677
I 2.108 2.395 5.687
I 2.108 6.347 7.515
I 2.108 -2.395 4.333
U 2.108 -3.690 7.515
I 2.108 2.395 9.343
I 2.108 -6.347 2.505
U 2.108 3.690 2.505
```


The following is a GGA-PBE calculation of an optimized crystal structure of RbGdH2S2O9, from the Materials Project database.

Results
ΔH_f (0 K) (eV per atom): -2.28
Total moment (μB per atom): 0.4667
Energy with MP2020 corrections (eV/atom): -7.257
Density (g/cm3): 3.6

Structure (extended XYZ):
```
60
Lattice="-0.737 6.105 -5.743 3.164 -6.558 -7.379 -7.512 -5.759 -5.158" Properties=species:S:1:pos:R:3 pbc="T T T"
O 1.129 -6.353 -7.333
O -3.951 -2.171 -9.464
O -4.574 -1.444 -6.333
O -1.102 -0.015 -8.778
Rb 0.289 -2.084 -10.735
O 2.390 -4.973 -8.814
H -6.541 -4.943 -10.505
O -1.890 2.839 -5.772
H -2.425 -5.043 -5.124
O -0.187 -3.657 -6.603
O -3.984 -6.197 -9.502
S -2.853 1.711 -5.807
O 0.586 -6.383 -9.730
S -5.135 -7.145 -9.416
Gd -3.261 -0.415 -8.032
O -2.141 0.398 -5.900
S -3.635 -2.543 -10.881
O -6.214 0.141 -10.946
O -7.476 -1.239 -9.465
H -2.661 -1.169 -13.156
O -1.134 -4.041 -8.816
O -3.736 1.777 -7.016
O -0.543 -0.845 -1.608
H 1.455 -1.269 -7.774
O -2.944 -6.610 -12.379
H -0.664 -7.519 -8.279
O -5.509 -7.231 -7.980
O -6.272 -6.658 -10.218
O -2.673 -1.578 -11.445
S -1.451 -3.669 -7.399
H -4.744 -7.713 -13.384
Gd 2.080 -4.142 -6.516
O -1.349 -7.989 -11.264
O 0.424 1.019 -10.299
H -0.342 1.501 -4.895
S -6.759 0.074 -9.555
O -5.672 0.171 -8.550
O -3.458 1.172 -9.920
Rb -3.559 -4.206 -14.026
O -0.385 2.277 -8.360
O -3.083 -3.922 -10.938
O -1.628 -7.383 -8.359
Gd -1.824 -5.796 -10.247
O -6.931 -4.049 -10.297
S 1.673 -6.286 -8.725
O 1.846 -2.163 -7.982
Gd -7.165 -2.070 -11.764
O -2.002 -2.289 -7.341
Rb -5.375 -4.128 -7.545
S -2.233 -7.923 -12.473
O -0.511 -4.768 -11.947
O 1.187 0.446 -8.061
Rb -1.527 -2.005 -4.254
O -4.701 -8.489 -9.920
O -4.543 -5.366 -16.671
S 0.050 0.933 -8.863
O -2.413 -4.634 -6.835
O -4.899 -2.554 -11.676
O -3.195 -9.051 -12.508
H -4.422 1.307 -10.000
```


The following is a GGA-PBE calculation of an optimized crystal structure of Ba3FeS5, from the Materials Project database.

Results
ΔH_f (0 K) (eV per atom): -1.67
Total moment (μB per atom): 0.5257
Energy with MP2020 corrections (eV/atom): -5.553
Density (g/cm3): 4.5

Structure (extended XYZ):
```
54
Lattice="4.688 -8.119 0.000 4.688 8.119 0.000 0.000 0.000 18.242" Properties=species:S:1:pos:R:3 pbc="T T T"
S 7.340 -0.102 9.121
S 7.316 0.063 3.023
S 7.316 0.063 15.219
Fe 0.000 0.000 4.589
Ba 5.850 -0.054 12.141
Ba 6.403 -5.039 6.101
S 2.045 0.027 6.049
S 4.688 2.706 14.123
Ba 5.942 0.152 0.000
S 4.688 -2.706 13.695
Fe 0.000 0.000 16.523
S 4.688 2.706 4.119
S 8.330 1.758 12.193
Ba 3.497 -0.155 15.217
Ba 7.385 2.892 9.121
S 2.081 -0.062 0.000
Ba 3.074 -5.013 3.025
Ba 3.497 -0.155 3.025
Ba 1.810 -3.026 6.101
S 5.662 6.304 15.219
Ba 3.179 4.949 9.121
S 4.688 2.706 1.917
S 1.105 -1.712 9.121
Ba 6.273 5.070 0.000
Fe 0.000 0.000 1.719
Fe 0.000 0.000 7.471
Ba 3.074 -5.013 15.217
S 4.688 -2.706 10.183
S 4.688 -2.706 4.547
Fe 0.000 0.000 13.653
Fe 0.000 0.000 10.771
S 3.688 6.335 12.193
S 4.688 2.706 16.325
S 8.281 -1.771 0.000
S 4.688 -2.706 8.059
S 4.688 -2.706 1.064
S 3.688 6.335 6.049
S 3.701 -6.286 0.000
S 2.045 0.027 12.193
Ba 1.848 2.897 0.000
S 1.084 1.752 15.219
S 8.330 1.758 6.049
Ba 7.492 -2.951 3.025
Ba 3.500 0.278 9.121
S 1.084 1.752 3.023
Ba 6.403 -5.039 12.141
S 4.688 2.706 11.002
Ba 7.492 -2.951 15.217
S 4.688 2.706 7.240
S 5.617 -6.306 9.121
Ba 1.810 -3.026 12.141
S 5.662 6.304 3.023
S 4.688 -2.706 17.178
Ba 5.850 -0.054 6.101
```